# 1
Computed, not measured: a relaxed Mg3Si4 crystal at the GGA-PBE level of DFT.

a b c (Å): 4.5048 7.8993 7.9221
angles (deg): 99.41 104.85 95.04
Element x y z (fractional)
1 Mg 0.0000 0.0000 0.0000
2 Mg 0.0332 0.4055 0.2141
3 Mg 0.1374 0.1471 0.4779
4 Mg 0.3596 0.3361 0.9064
5 Mg 0.7043 0.4423 0.5779
6 Mg 0.7503 0.8258 0.5493
7 Si 0.1004 0.7815 0.2733
8 Si 0.2173 0.6378 0.5374
9 Si 0.3549 0.9223 0.7461
10 Si 0.4737 0.7364 0.9547
11 Si 0.5230 0.2210 0.2396
12 Si 0.5923 0.9217 0.2366
13 Si 0.7310 0.1605 0.7324
14 Si 0.9559 0.6085 0.9673

Symmetry   P1, No. 1
Electronic total energy   -51.703 eV for the cell shown
ρ   2.3 g/cm3
Energy above the most stable polymorph in this dataset   40 meV/atom



# 2
Computed, not measured: a relaxed Mg3Si4 crystal at the GGA-PBE level of DFT.

a b c (Å): 8.0129 4.3262 8.1552
angles (deg): 90.00 112.16 90.00
Element x y z (fractional)
1 Mg 0.0000 0.0000 0.0000
2 Mg 0.0251 0.5000 0.6701
3 Mg 0.2481 0.5000 0.3145
4 Mg 0.6081 0.0000 0.0244
5 Mg 0.6487 0.5000 0.3309
6 Mg 0.9446 0.0000 0.3770
7 Si 0.2451 0.0000 0.8543
8 Si 0.2991 0.0000 0.5804
9 Si 0.3444 0.5000 0.9934
10 Si 0.4203 0.5000 0.7272
11 Si 0.4820 0.0000 0.3805
12 Si 0.7392 0.5000 0.8030
13 Si 0.7663 0.0000 0.6276
14 Si 0.8714 0.5000 0.1320

Symmetry   Pm, No. 6
Electronic total energy   -51.288 eV for the cell shown
ρ   2.3 g/cm3
Energy above the most stable polymorph in this dataset   70 meV/atom



# 3
Computed, not measured: a relaxed Mg5Si6 crystal at the GGA-PBE level of DFT.

a b c (Å): 6.9272 3.8469 15.7919
angles (deg): 90.00 98.00 90.00
Element x y z (fractional)
1 Mg 0.0000 0.0000 0.0000
2 Mg 0.0408 0.5000 0.1790
3 Mg 0.1035 0.5000 0.8505
4 Mg 0.1855 0.5000 0.5284
5 Mg 0.2377 0.0000 0.7024
6 Mg 0.2854 0.0000 0.3408
7 Mg 0.4340 0.0000 0.9276
8 Mg 0.6120 0.5000 0.4401
9 Mg 0.6754 0.0000 0.2863
10 Mg 0.7620 0.0000 0.7783
11 Si 0.2919 0.5000 0.0513
12 Si 0.3472 0.0000 0.1526
13 Si 0.4635 0.5000 0.8000
14 Si 0.4837 0.0000 0.5604
15 Si 0.5484 0.5000 0.6571
16 Si 0.6509 0.5000 0.0439
17 Si 0.7387 0.0000 0.1283
18 Si 0.7491 0.5000 0.9057
19 Si 0.8438 0.0000 0.5742
20 Si 0.9262 0.5000 0.6684
21 Si 0.9360 0.0000 0.4348
22 Si 0.9814 0.5000 0.3474

Symmetry   Pm, No. 6
Electronic total energy   -79.287 eV for the cell shown
ρ   2.3 g/cm3
Energy above the most stable polymorph in this dataset   56 meV/atom



# 4
Computed, not measured: a relaxed Mg5Si6 crystal at the GGA-PBE level of DFT.

a b c (Å): 5.2172 5.8873 13.6676
angles (deg): 84.38 85.29 84.51
Element x y z (fractional)
1 Mg 0.0000 0.0000 0.0000
2 Mg 0.0046 0.4951 0.6819
3 Mg 0.2444 0.8908 0.3364
4 Mg 0.4403 0.4026 0.2158
5 Mg 0.4639 0.8057 0.7304
6 Mg 0.4747 0.6272 0.5250
7 Mg 0.5095 0.9215 0.1280
8 Mg 0.6941 0.3927 0.8858
9 Mg 0.7582 0.1944 0.3786
10 Mg 0.9821 0.0030 0.5838
11 Si 0.0229 0.7255 0.1780
12 Si 0.1887 0.5848 0.9150
13 Si 0.2407 0.2033 0.8344
14 Si 0.2416 0.2781 0.4249
15 Si 0.4796 0.0999 0.5606
16 Si 0.5256 0.3314 0.6934
17 Si 0.5287 0.9068 0.9264
18 Si 0.7388 0.6962 0.3254
19 Si 0.8760 0.4890 0.0608
20 Si 0.9383 0.8600 0.8054
21 Si 0.9759 0.1612 0.1837
22 Si 0.9829 0.6031 0.4742

Symmetry   P1, No. 1
Electronic total energy   -79.136 eV for the cell shown
ρ   2.3 g/cm3
Energy above the most stable polymorph in this dataset   63 meV/atom



# 5
Computed, not measured: a relaxed Mg4Si3 crystal at the GGA-PBE level of DFT.

a b c (Å): 6.0575 7.0881 13.3044
angles (deg): 97.56 97.10 105.33
Element x y z (fractional)
1 Mg 0.0000 0.0000 0.0000
2 Mg 0.0103 0.1325 0.6337
3 Mg 0.0702 0.5737 0.1011
4 Mg 0.2020 0.7597 0.6049
5 Mg 0.3166 0.6411 0.3451
6 Mg 0.3320 0.7743 0.9197
7 Mg 0.3478 0.1412 0.8244
8 Mg 0.4329 0.5100 0.7369
9 Mg 0.4702 0.1993 0.3501
10 Mg 0.5281 0.1617 0.5971
11 Mg 0.6366 0.7472 0.1358
12 Mg 0.6455 0.2288 0.0391
13 Mg 0.6673 0.6970 0.5619
14 Mg 0.7850 0.5863 0.3261
15 Mg 0.9151 0.3042 0.8549
16 Mg 0.9263 0.2070 0.2605
17 Si 0.0756 0.8799 0.2479
18 Si 0.1173 0.9747 0.4398
19 Si 0.2580 0.3769 0.4959
20 Si 0.3307 0.4177 0.9813
21 Si 0.3690 0.9904 0.1443
22 Si 0.3822 0.3733 0.1749
23 Si 0.5973 0.9188 0.7530
24 Si 0.7118 0.9589 0.4267
25 Si 0.7157 0.5841 0.9456
26 Si 0.8730 0.4033 0.5017
27 Si 0.9124 0.4945 0.6947
28 Si 0.9555 0.8399 0.7717

Symmetry   P1, No. 1
Electronic total energy   -88.899 eV for the cell shown
ρ   2.2 g/cm3
Energy above the most stable polymorph in this dataset   91 meV/atom



# 6
Computed, not measured: a relaxed Mg2Si3 crystal at the GGA-PBE level of DFT.

a b c (Å): 5.2966 5.2966 9.1760
angles (deg): 111.73 111.73 49.29
Element x y z (fractional)
1 Mg 0.0127 0.0127 0.1806
2 Mg 0.1774 0.1774 0.5951
3 Mg 0.8226 0.8226 0.4049
4 Mg 0.9873 0.9873 0.8194
5 Si 0.2895 0.2895 0.1605
6 Si 0.3578 0.3578 0.9386
7 Si 0.4647 0.4647 0.6146
8 Si 0.5353 0.5353 0.3854
9 Si 0.6422 0.6422 0.0614
10 Si 0.7105 0.7105 0.8395

Symmetry   C2/m, No. 12
Electronic total energy   -38.348 eV for the cell shown
ρ   2.5 g/cm3
Energy above the most stable polymorph in this dataset   24 meV/atom



# 7
Computed, not measured: a relaxed Mg4Si3 crystal at the GGA-PBE level of DFT.

a b c (Å): 6.2534 7.7130 12.0563
angles (deg): 95.54 91.58 109.82
Element x y z (fractional)
1 Mg 0.0000 0.0000 0.0000
2 Mg 0.0293 0.5504 0.9589
3 Mg 0.1335 0.1605 0.4961
4 Mg 0.1732 0.1699 0.7921
5 Mg 0.2361 0.5376 0.7231
6 Mg 0.2947 0.1546 0.2378
7 Mg 0.3300 0.9168 0.6272
8 Mg 0.3905 0.6208 0.2250
9 Mg 0.4233 0.5912 0.4858
10 Mg 0.5695 0.6776 0.9742
11 Mg 0.5999 0.1992 0.9985
12 Mg 0.6283 0.1418 0.4642
13 Mg 0.7269 0.0142 0.2205
14 Mg 0.8483 0.7019 0.7610
15 Mg 0.9202 0.5771 0.5289
16 Mg 0.9235 0.6822 0.1787
17 Si 0.0210 0.3580 0.3381
18 Si 0.2256 0.8522 0.3819
19 Si 0.2924 0.3565 0.0184
20 Si 0.2991 0.8653 0.8676
21 Si 0.3271 0.8747 0.0884
22 Si 0.5157 0.3426 0.6467
23 Si 0.6701 0.4411 0.3289
24 Si 0.6941 0.9888 0.8143
25 Si 0.7900 0.3150 0.7859
26 Si 0.7935 0.9078 0.5953
27 Si 0.8078 0.8010 0.3824
28 Si 0.9811 0.3294 0.1333

Symmetry   P1, No. 1
Electronic total energy   -89.209 eV for the cell shown
ρ   2.2 g/cm3
Energy above the most stable polymorph in this dataset   80 meV/atom



# 8
Computed, not measured: a relaxed Mg4Si3 crystal at the GGA-PBE level of DFT.

a b c (Å): 6.4033 7.9993 11.7264
angles (deg): 90.11 94.83 111.89
Element x y z (fractional)
1 Mg 0.0000 0.0000 0.0000
2 Mg 0.0044 0.5547 0.9615
3 Mg 0.0916 0.8675 0.7612
4 Mg 0.1317 0.8226 0.2240
5 Mg 0.2640 0.5444 0.7361
6 Mg 0.2771 0.3719 0.4861
7 Mg 0.3978 0.3788 0.9648
8 Mg 0.4186 0.8592 0.4609
9 Mg 0.4520 0.8690 0.9671
10 Mg 0.6197 0.6028 0.3431
11 Mg 0.6355 0.9543 0.7267
12 Mg 0.6805 0.3839 0.7335
13 Mg 0.7206 0.9857 0.2344
14 Mg 0.7564 0.2626 0.4886
15 Mg 0.8170 0.3957 0.1927
16 Mg 0.9663 0.9365 0.4694
17 Si 0.0448 0.5738 0.3912
18 Si 0.0527 0.1855 0.6578
19 Si 0.1786 0.2751 0.1886
20 Si 0.3375 0.5986 0.1461
21 Si 0.3632 0.0973 0.6136
22 Si 0.4003 0.1654 0.3258
23 Si 0.4266 0.1283 0.1124
24 Si 0.6188 0.6690 0.5878
25 Si 0.6887 0.6789 0.8632
26 Si 0.7213 0.6880 0.0844
27 Si 0.9547 0.6083 0.5811
28 Si 0.9703 0.2397 0.8498

Symmetry   P1, No. 1
Electronic total energy   -89.422 eV for the cell shown
ρ   2.2 g/cm3
Energy above the most stable polymorph in this dataset   73 meV/atom



Copy entry 3 word for word.
Computed, not measured: a relaxed Mg5Si6 crystal at the GGA-PBE level of DFT.

a b c (Å): 6.9272 3.8469 15.7919
angles (deg): 90.00 98.00 90.00
Element x y z (fractional)
1 Mg 0.0000 0.0000 0.0000
2 Mg 0.0408 0.5000 0.1790
3 Mg 0.1035 0.5000 0.8505
4 Mg 0.1855 0.5000 0.5284
5 Mg 0.2377 0.0000 0.7024
6 Mg 0.2854 0.0000 0.3408
7 Mg 0.4340 0.0000 0.9276
8 Mg 0.6120 0.5000 0.4401
9 Mg 0.6754 0.0000 0.2863
10 Mg 0.7620 0.0000 0.7783
11 Si 0.2919 0.5000 0.0513
12 Si 0.3472 0.0000 0.1526
13 Si 0.4635 0.5000 0.8000
14 Si 0.4837 0.0000 0.5604
15 Si 0.5484 0.5000 0.6571
16 Si 0.6509 0.5000 0.0439
17 Si 0.7387 0.0000 0.1283
18 Si 0.7491 0.5000 0.9057
19 Si 0.8438 0.0000 0.5742
20 Si 0.9262 0.5000 0.6684
21 Si 0.9360 0.0000 0.4348
22 Si 0.9814 0.5000 0.3474

Symmetry   Pm, No. 6
Electronic total energy   -79.287 eV for the cell shown
ρ   2.3 g/cm3
Energy above the most stable polymorph in this dataset   56 meV/atom



- Which of these has the lowest energy above the most stable polymorph in this dataset?
  Mg2Si3